(1)
TmTaRu2 | PBE-GGA | relaxed

abc: 4.6016 4.6016 4.6016
angles: 60.00 60.00 60.00
With the nearest neighbours (Å) after each atom.
Sites, in units of the cell vectors:
Tm: 0.0000 0.0000 0.0000  8 Ru 2.82
Ta: 0.5000 0.5000 0.5000  8 Ru 2.82
Ru: 0.2500 0.2500 0.2500  4 Ta 2.82, 4 Tm 2.82
Ru: 0.7500 0.7500 0.7500  4 Ta 2.82, 4 Tm 2.82

space-group type	Fm-3m (225)
ΔH_f (0 K)	-0.46	eV per atom
crystal system	cubic

---

(2)
Ta2VRu | PBE-GGA | relaxed

abc: 4.4743 4.4743 4.4743
angles: 60.00 60.00 60.00
With the nearest neighbours (Å) after each atom.
Sites, in units of the cell vectors:
Ta: 0.2500 0.2500 0.2500  4 Ru 2.74, 4 V 2.74
Ta: 0.7500 0.7500 0.7500  4 Ru 2.74, 4 V 2.74
V: 0.0000 0.0000 0.0000  8 Ta 2.74
Ru: 0.5000 0.5000 0.5000  8 Ta 2.74

space-group type	Fm-3m (225)
ΔH_f (0 K)	-0.28	eV per atom
crystal system	cubic

---

(3)
Ta2RuW | PBE-GGA | relaxed

abc: 4.5422 4.5422 4.5422
angles: 60.00 60.00 60.00
With the nearest neighbours (Å) after each atom.
Sites, in units of the cell vectors:
Ta: 0.2500 0.2500 0.2500  4 W 2.78, 4 Ru 2.78
Ta: 0.7500 0.7500 0.7500  4 W 2.78, 4 Ru 2.78
Ru: 0.0000 0.0000 0.0000  8 Ta 2.78
W: 0.5000 0.5000 0.5000  8 Ta 2.78

space-group type	Fm-3m (225)
ΔH_f (0 K)	-0.28	eV per atom
crystal system	cubic

---

| no. | VASP energy (eV per atom) |
| --- | --- |
| 1 | -9.183 |
| 2 | -10.796 |
| 3 | -11.770 |